1.
A geometry-optimized Li2CoNi3O8 structure, computed with PBE+U.

abc: 8.078 8.146 8.038
angles: 90.30 89.29 90.14
Atoms (fractional coordinates):
O: 0.386 0.888 0.883
Ni: 0.876 0.625 0.876
Ni: 0.127 0.623 0.124
O: 0.646 0.373 0.148
Ni: 0.379 0.374 0.629
O: 0.864 0.359 0.370
O: 0.854 0.648 0.625
O: 0.622 0.604 0.394
O: 0.131 0.644 0.356
Li: 0.495 0.004 0.494
Ni: 0.630 0.374 0.380
O: 0.884 0.894 0.387
O: 0.118 0.390 0.113
O: 0.643 0.143 0.364
Ni: 0.870 0.877 0.622
Co: 0.626 0.626 0.625
Co: 0.374 0.124 0.873
O: 0.147 0.375 0.644
O: 0.608 0.107 0.888
O: 0.101 0.878 0.609
Ni: 0.876 0.127 0.378
O: 0.627 0.646 0.854
O: 0.136 0.857 0.131
Li: 0.752 0.247 0.757
O: 0.897 0.606 0.124
O: 0.356 0.873 0.351
Ni: 0.376 0.625 0.373
Li: 0.253 0.245 0.254
O: 0.603 0.876 0.103
Li: 0.750 0.747 0.248
O: 0.872 0.143 0.146
Ni: 0.624 0.125 0.125
O: 0.852 0.873 0.855
O: 0.359 0.643 0.130
Li: 0.503 0.502 0.001
Li: 0.998 0.004 0.998
Li: 0.003 0.506 0.501
O: 0.398 0.376 0.396
O: 0.366 0.145 0.637
Li: 0.247 0.745 0.747
O: 0.634 0.862 0.634
O: 0.395 0.606 0.618
Ni: 0.129 0.375 0.878
O: 0.138 0.143 0.860
O: 0.881 0.108 0.612
Co: 0.880 0.374 0.131
O: 0.364 0.359 0.863
O: 0.123 0.604 0.893
Co: 0.122 0.875 0.371
Ni: 0.619 0.876 0.870
O: 0.377 0.103 0.109
Ni: 0.370 0.874 0.119
Ni: 0.124 0.126 0.626
O: 0.614 0.388 0.617
O: 0.108 0.111 0.392
O: 0.898 0.377 0.895

Summary:
energy of formation from the pure elements: -1.292 eV/atom
M_tot: 1.00 μB/f.u.
polymorph energy (0 for the lowest one): 0 meV/atom
space-group type: P1, No. 1



2.
A geometry-optimized Li3Co2Si2O8 structure, computed with PBE+U.

abc: 5.142 6.490 10.590
angles: 89.47 90.00 90.00
Atoms (fractional coordinates):
Si: 0.566 0.135 0.912
Co: 0.935 0.888 0.337
Co: 0.577 0.372 0.662
O: 0.057 0.432 0.164
O: 0.943 0.432 0.664
O: 0.444 0.921 0.845
O: 0.962 0.839 0.669
O: 0.613 0.621 0.096
Si: 0.934 0.632 0.093
O: 0.492 0.138 0.060
O: 0.115 0.126 0.386
O: 0.038 0.645 0.943
O: 0.962 0.645 0.443
Li: 0.528 0.626 0.422
O: 0.885 0.126 0.886
O: 0.038 0.839 0.169
Si: 0.434 0.135 0.412
Co: 0.065 0.888 0.837
O: 0.542 0.345 0.339
O: 0.556 0.921 0.345
O: 0.458 0.345 0.839
Li: 0.472 0.626 0.922
Li: 0.572 0.887 0.659
Co: 0.423 0.372 0.162
Li: 0.428 0.887 0.159
Li: 0.065 0.376 0.836
O: 0.508 0.138 0.560
O: 0.387 0.621 0.596
Li: 0.935 0.376 0.336
Si: 0.066 0.632 0.593

Summary:
energy of formation from the pure elements: -2.406 eV/atom
M_tot: 7.00 μB/f.u.
polymorph energy (0 for the lowest one): 4 meV/atom
space-group type: Pc, No. 7



3.
A geometry-optimized LiMn2P2H5O11 structure, computed with PBE+U.

abc: 9.803 9.139 11.838
angles: 53.98 90.00 90.00
Atoms (fractional coordinates):
O: 0.834 0.940 0.000
O: 0.334 0.060 0.500
Mn: 0.079 0.961 0.906
O: 0.508 0.868 0.311
H: 0.502 0.917 0.882
Li: 0.803 0.442 0.514
H: 0.154 0.670 0.709
P: 0.475 0.645 0.719
O: 0.141 0.283 0.269
O: 0.220 0.320 0.056
H: 0.654 0.330 0.791
H: 0.105 0.819 0.729
O: 0.241 0.005 0.292
O: 0.341 0.801 0.166
Mn: 0.279 0.291 0.912
P: 0.842 0.821 0.796
H: 0.346 0.670 0.209
P: 0.658 0.821 0.296
O: 0.666 0.940 0.500
Li: 0.697 0.442 0.014
H: 0.454 0.842 0.037
O: 0.259 0.005 0.792
Mn: 0.721 0.709 0.088
Mn: 0.921 0.039 0.094
H: 0.846 0.330 0.291
O: 0.859 0.717 0.731
O: 0.125 0.525 0.343
O: 0.780 0.680 0.944
P: 0.158 0.179 0.204
H: 0.002 0.083 0.618
O: 0.875 0.475 0.657
H: 0.605 0.181 0.771
H: 0.395 0.819 0.229
H: 0.498 0.083 0.118
O: 0.020 0.174 0.518
O: 0.598 0.283 0.422
O: 0.994 0.802 0.232
Li: 0.197 0.558 0.486
H: 0.954 0.158 0.463
O: 0.375 0.525 0.843
O: 0.098 0.717 0.078
O: 0.166 0.060 0.000
H: 0.224 0.954 0.076
O: 0.625 0.475 0.157
O: 0.902 0.283 0.922
O: 0.391 0.453 0.266
O: 0.720 0.680 0.444
O: 0.641 0.717 0.231
Mn: 0.221 0.291 0.412
O: 0.609 0.547 0.734
Li: 0.303 0.558 0.986
O: 0.480 0.174 0.018
O: 0.506 0.802 0.732
O: 0.992 0.868 0.811
Mn: 0.779 0.709 0.588
Mn: 0.421 0.961 0.406
H: 0.046 0.842 0.537
H: 0.724 0.046 0.424
H: 0.998 0.917 0.382
O: 0.741 0.995 0.208
O: 0.759 0.995 0.708
H: 0.895 0.181 0.271
P: 0.342 0.179 0.704
O: 0.280 0.320 0.556
O: 0.659 0.199 0.834
O: 0.008 0.132 0.189
H: 0.546 0.158 0.963
O: 0.841 0.199 0.334
O: 0.109 0.453 0.766
O: 0.359 0.283 0.769
O: 0.492 0.132 0.689
Mn: 0.579 0.039 0.594
H: 0.776 0.046 0.924
O: 0.494 0.198 0.268
P: 0.975 0.355 0.781
P: 0.025 0.645 0.219
H: 0.276 0.954 0.576
O: 0.980 0.826 0.482
O: 0.520 0.826 0.982
O: 0.891 0.547 0.234
O: 0.402 0.717 0.578
O: 0.006 0.198 0.768
O: 0.159 0.801 0.666
P: 0.525 0.355 0.281

Summary:
energy of formation from the pure elements: -2.011 eV/atom
M_tot: 8.00 μB/f.u.
space-group type: P2_1/c, No. 14



4.
A geometry-optimized Mn2OF3 structure, computed with PBE+U.

abc: 5.813 5.813 10.710
angles: 69.36 69.36 65.89
Atoms (fractional coordinates):
O: 0.916 0.916 0.338
Mn: 0.000 0.000 0.500
O: 0.665 0.665 0.835
Mn: 0.734 0.734 0.983
Mn: 0.266 0.266 0.017
F: 0.578 0.578 0.647
Mn: 0.881 0.371 0.750
O: 0.335 0.335 0.165
F: 0.342 0.849 0.101
O: 0.084 0.084 0.662
Mn: 0.119 0.629 0.250
Mn: 0.500 0.500 0.500
F: 0.602 0.100 0.602
F: 0.100 0.602 0.602
F: 0.151 0.658 0.899
Mn: 0.371 0.881 0.750
F: 0.849 0.342 0.101
F: 0.815 0.815 0.142
Mn: 0.629 0.119 0.250
F: 0.900 0.398 0.398
F: 0.398 0.900 0.398
F: 0.658 0.151 0.899
F: 0.185 0.185 0.858
F: 0.422 0.422 0.353

Summary:
energy of formation from the pure elements: -2.619 eV/atom
M_tot: 9.00 μB/f.u.
polymorph energy (0 for the lowest one): 20 meV/atom
space-group type: C2/m, No. 12



5.
A geometry-optimized MgMn6O6F6 structure, computed with PBE+U.

abc: 4.869 4.933 9.494
angles: 91.43 89.71 89.60
Atoms (fractional coordinates):
O: 0.844 0.171 0.152
F: 0.712 0.782 0.341
F: 0.807 0.219 0.833
Mn: 0.060 0.008 0.689
Mn: 0.213 0.493 0.497
Mn: 0.986 0.930 0.998
F: 0.217 0.725 0.168
F: 0.838 0.292 0.486
Mn: 0.492 0.498 0.835
O: 0.177 0.883 0.486
Mn: 0.541 0.443 0.160
O: 0.680 0.661 0.002
F: 0.691 0.793 0.648
O: 0.182 0.759 0.840
F: 0.304 0.226 0.996
Mg: 0.552 0.026 0.496
O: 0.350 0.296 0.664
O: 0.355 0.274 0.326
Mn: 0.041 0.024 0.308

Summary:
energy of formation from the pure elements: -2.423 eV/atom
M_tot: 26.00 μB/f.u.
polymorph energy (0 for the lowest one): 38 meV/atom
space-group type: P1, No. 1



6.
A geometry-optimized Nd2Mo6PtO38 structure, computed with PBE+U.

abc: 11.562 11.562 15.541
angles: 75.38 75.38 54.30
Atoms (fractional coordinates):
O: 0.989 0.629 0.653
O: 0.174 0.993 0.231
O: 0.738 0.186 0.496
O: 0.577 0.705 0.375
Mo: 0.253 0.135 0.530
O: 0.072 0.012 0.452
Mo: 0.915 0.278 0.631
O: 0.682 0.972 0.559
O: 0.241 0.336 0.976
O: 0.295 0.423 0.125
O: 0.473 0.734 0.909
O: 0.664 0.759 0.524
Mo: 0.747 0.865 0.470
O: 0.336 0.241 0.476
O: 0.393 0.261 0.291
O: 0.426 0.396 0.094
O: 0.472 0.836 0.042
O: 0.323 0.088 0.091
O: 0.515 0.622 0.628
O: 0.218 0.752 0.372
O: 0.114 0.290 0.749
O: 0.938 0.843 0.456
O: 0.604 0.574 0.406
O: 0.290 0.114 0.249
Mo: 0.135 0.253 0.030
O: 0.705 0.577 0.875
O: 0.710 0.886 0.751
O: 0.012 0.072 0.952
O: 0.759 0.664 0.024
O: 0.485 0.378 0.372
Mo: 0.628 0.659 0.132
O: 0.423 0.295 0.625
O: 0.814 0.262 0.004
O: 0.396 0.426 0.594
O: 0.972 0.682 0.059
O: 0.261 0.393 0.791
O: 0.011 0.371 0.347
O: 0.088 0.323 0.591
O: 0.186 0.738 0.996
O: 0.988 0.928 0.048
O: 0.622 0.515 0.128
O: 0.789 0.445 0.706
Mo: 0.659 0.628 0.632
O: 0.677 0.912 0.909
O: 0.342 0.020 0.618
O: 0.843 0.938 0.956
Mo: 0.865 0.747 0.970
O: 0.886 0.710 0.251
O: 0.528 0.164 0.958
O: 0.629 0.913 0.109
O: 0.928 0.988 0.548
O: 0.607 0.739 0.709
O: 0.913 0.629 0.609
O: 0.211 0.555 0.294
O: 0.371 0.011 0.847
O: 0.266 0.527 0.591
Mo: 0.085 0.722 0.369
O: 0.826 0.007 0.769
O: 0.658 0.980 0.382
O: 0.087 0.371 0.391
Mo: 0.341 0.372 0.368
Mo: 0.372 0.341 0.868
Nd: 0.892 0.318 0.851
Nd: 0.318 0.892 0.351
O: 0.993 0.174 0.731
O: 0.371 0.087 0.891
O: 0.445 0.789 0.206
O: 0.028 0.318 0.941
O: 0.782 0.248 0.628
O: 0.555 0.211 0.794
O: 0.836 0.472 0.542
O: 0.378 0.485 0.872
O: 0.262 0.814 0.504
Mo: 0.722 0.085 0.869
Nd: 0.108 0.682 0.149
O: 0.164 0.528 0.458
O: 0.739 0.607 0.209
O: 0.062 0.157 0.544
O: 0.912 0.677 0.409
O: 0.248 0.782 0.128
O: 0.574 0.604 0.906
O: 0.527 0.266 0.091
O: 0.734 0.473 0.409
Mo: 0.278 0.915 0.131
O: 0.020 0.342 0.118
Pt: 0.000 0.500 0.500
O: 0.007 0.826 0.269
O: 0.629 0.989 0.153
O: 0.318 0.028 0.441
O: 0.980 0.658 0.882
O: 0.752 0.218 0.872
Nd: 0.682 0.108 0.649
Pt: 0.500 0.000 0.000
O: 0.157 0.062 0.044

Summary:
energy of formation from the pure elements: -0.630 eV/atom
M_tot: 0.22 μB/f.u.
space-group type: C2/c, No. 15



7.
A geometry-optimized Li6Fe3Co7O20 structure, computed with PBE+U.

abc: 20.704 2.876 5.896
angles: 90.00 84.30 90.00
Atoms (fractional coordinates):
O: 0.407 0.500 0.523
O: 0.290 0.000 0.875
Li: 0.600 0.000 0.200
Fe: 0.400 0.000 0.279
Co: 0.100 0.500 0.700
Li: 0.915 0.500 0.843
Li: 0.404 0.000 0.801
Co: 0.904 0.500 0.307
O: 0.107 0.000 0.917
O: 0.699 0.000 0.694
Co: 0.002 0.000 0.502
Li: 0.100 0.500 0.200
Co: 0.296 0.500 0.093
O: 0.610 0.500 0.934
O: 0.007 0.500 0.709
O: 0.910 0.000 0.525
Li: 0.285 0.500 0.557
Co: 0.701 0.500 0.903
O: 0.093 0.000 0.483
O: 0.898 0.000 0.086
O: 0.302 0.000 0.314
O: 0.203 0.500 0.105
Co: 0.499 0.500 0.497
Li: 0.796 0.000 0.599
O: 0.501 0.000 0.706
Fe: 0.800 0.000 0.121
Fe: 0.600 0.000 0.700
O: 0.389 0.500 0.050
O: 0.811 0.500 0.350
O: 0.701 0.000 0.112
O: 0.793 0.500 0.877
O: 0.499 0.000 0.288
O: 0.193 0.500 0.691
O: 0.997 0.500 0.295
O: 0.590 0.500 0.466
Co: 0.198 0.000 0.898

Summary:
energy of formation from the pure elements: -1.601 eV/atom
M_tot: 19.00 μB/f.u.
space-group type: P2/m, No. 10